Crystalline Cr3CoP6O24 at its relaxed geometry, computed with PBE with a Hubbard U.

The structure in POSCAR format:
```
Cr3CoP6O24
1.0
4.257 2.458 7.215
-4.257 2.458 7.215
0.000 -4.915 7.215
Cr Co P O
3 1 6 24
direct
0.000 0.000 0.000
0.215 0.215 0.215
0.500 0.500 0.500
0.714 0.714 0.714
0.103 0.395 0.823
0.330 0.890 0.608
0.395 0.823 0.103
0.608 0.330 0.890
0.823 0.103 0.395
0.890 0.608 0.330
0.076 0.222 0.849
0.076 0.437 0.294
0.138 0.367 0.992
0.146 0.915 0.783
0.222 0.849 0.076
0.276 0.424 0.638
0.294 0.076 0.437
0.353 0.720 0.578
0.367 0.992 0.138
0.424 0.638 0.276
0.437 0.294 0.076
0.504 0.871 0.628
0.578 0.353 0.720
0.580 0.803 0.926
0.628 0.504 0.871
0.638 0.276 0.424
0.720 0.578 0.353
0.783 0.146 0.915
0.803 0.926 0.580
0.849 0.076 0.222
0.871 0.628 0.504
0.915 0.783 0.146
0.926 0.580 0.803
0.992 0.138 0.367
```



Crystalline LiMo2PO8 at its relaxed geometry, computed with PBE with a Hubbard U.

Energy relative to the lowest polymorph listed for this composition   0 meV per atom

The structure in POSCAR format:
```
LiMo2PO8
1.0
6.727 0.000 0.000
0.000 5.249 0.000
-0.004 0.000 17.727
Li Mo P O
4 8 4 32
direct
0.235 0.000 0.291
0.260 0.051 0.791
0.740 0.551 0.209
0.765 0.500 0.709
0.001 0.023 0.625
0.156 0.017 0.952
0.344 0.031 0.452
0.499 0.025 0.125
0.501 0.525 0.875
0.656 0.531 0.548
0.844 0.517 0.048
0.999 0.523 0.375
0.206 0.507 0.192
0.294 0.541 0.692
0.706 0.041 0.308
0.794 0.007 0.808
0.007 0.513 0.148
0.040 0.727 0.990
0.138 0.369 0.656
0.152 0.223 0.384
0.156 0.609 0.272
0.158 0.011 0.543
0.212 0.821 0.697
0.213 0.731 0.417
0.287 0.228 0.198
0.287 0.316 0.918
0.342 0.035 0.043
0.342 0.439 0.772
0.348 0.825 0.883
0.362 0.680 0.157
0.459 0.320 0.490
0.494 0.536 0.648
0.506 0.036 0.352
0.541 0.820 0.510
0.638 0.180 0.843
0.652 0.325 0.117
0.658 0.535 0.957
0.658 0.939 0.228
0.713 0.728 0.802
0.713 0.816 0.082
0.787 0.231 0.583
0.788 0.321 0.303
0.842 0.511 0.457
0.844 0.109 0.728
0.848 0.723 0.616
0.862 0.869 0.344
0.960 0.227 0.010
0.993 0.013 0.852
```



Crystalline Na9W16O48 at its relaxed geometry, computed with PBE with a Hubbard U.

The structure in POSCAR format:
```
Na9W16O48
1.0
5.518 -3.902 0.000
5.518 3.902 0.000
-0.034 0.000 22.071
Na W O
9 16 48
direct
0.000 0.000 0.000
0.250 0.250 0.126
0.250 0.250 0.375
0.250 0.250 0.625
0.250 0.250 0.874
0.750 0.750 0.126
0.750 0.750 0.375
0.750 0.750 0.625
0.750 0.750 0.874
0.000 0.500 0.000
0.000 0.500 0.251
0.000 0.500 0.500
0.000 0.500 0.749
0.250 0.750 0.375
0.250 0.750 0.625
0.251 0.749 0.126
0.251 0.749 0.874
0.500 0.000 0.000
0.500 0.000 0.251
0.500 0.000 0.500
0.500 0.000 0.749
0.749 0.251 0.126
0.749 0.251 0.874
0.750 0.250 0.375
0.750 0.250 0.625
0.012 0.012 0.625
0.013 0.013 0.124
0.105 0.629 0.183
0.105 0.629 0.683
0.115 0.645 0.060
0.117 0.640 0.561
0.128 0.607 0.934
0.129 0.605 0.433
0.140 0.616 0.811
0.140 0.617 0.311
0.248 0.248 0.007
0.250 0.250 0.244
0.250 0.250 0.506
0.250 0.250 0.744
0.355 0.885 0.940
0.360 0.883 0.439
0.371 0.895 0.317
0.371 0.895 0.817
0.383 0.860 0.689
0.384 0.860 0.189
0.393 0.872 0.066
0.395 0.871 0.567
0.488 0.488 0.125
0.488 0.488 0.625
0.512 0.512 0.375
0.512 0.512 0.875
0.605 0.129 0.433
0.607 0.128 0.934
0.616 0.140 0.811
0.617 0.140 0.311
0.629 0.105 0.183
0.629 0.105 0.683
0.640 0.117 0.561
0.645 0.115 0.060
0.750 0.750 0.256
0.750 0.750 0.494
0.750 0.750 0.756
0.752 0.752 0.993
0.860 0.383 0.689
0.860 0.384 0.189
0.871 0.395 0.567
0.872 0.393 0.066
0.883 0.360 0.439
0.885 0.355 0.940
0.895 0.371 0.317
0.895 0.371 0.817
0.987 0.987 0.876
0.988 0.988 0.375
```



Crystalline LiY5Mo2O12 at its relaxed geometry, computed with PBE with a Hubbard U.

Energy relative to the lowest polymorph listed for this composition   0 meV per atom

The structure in POSCAR format:
```
LiY5Mo2O12
1.0
6.252 -2.974 0.000
6.252 2.974 0.000
-2.169 0.000 7.069
Li Y Mo O
1 5 2 12
direct
0.000 0.000 0.000
0.196 0.196 0.344
0.206 0.206 0.858
0.500 0.500 0.000
0.794 0.794 0.142
0.804 0.804 0.656
0.269 0.731 0.500
0.731 0.269 0.500
0.002 0.002 0.311
0.064 0.596 0.405
0.093 0.617 0.934
0.383 0.907 0.066
0.404 0.936 0.595
0.493 0.493 0.698
0.507 0.507 0.302
0.596 0.064 0.405
0.617 0.093 0.934
0.907 0.383 0.066
0.936 0.404 0.595
0.998 0.998 0.689
```



Crystalline V2Zn2O7 at its relaxed geometry, computed with PBE with a Hubbard U.

Energy relative to the lowest polymorph listed for this composition   0 meV per atom

The structure in POSCAR format:
```
V2Zn2O7
1.0
3.855 -4.201 0.000
3.855 4.201 0.000
-3.777 0.000 9.565
V Zn O
4 4 14
direct
0.004 0.518 0.707
0.482 0.996 0.793
0.518 0.004 0.207
0.996 0.482 0.293
0.252 0.405 0.023
0.405 0.252 0.523
0.595 0.748 0.477
0.748 0.595 0.977
0.010 0.548 0.137
0.145 0.312 0.618
0.181 0.819 0.750
0.290 0.486 0.397
0.312 0.145 0.118
0.452 0.990 0.363
0.486 0.290 0.897
0.514 0.710 0.103
0.548 0.010 0.637
0.688 0.855 0.882
0.710 0.514 0.603
0.819 0.181 0.250
0.855 0.688 0.382
0.990 0.452 0.863
```



Crystalline Ba2Ca2Tl2Fe3O10 at its relaxed geometry, computed with PBE with a Hubbard U.

The structure in POSCAR format:
```
Ba2Ca2Tl2Fe3O10
1.0
3.962 0.000 0.000
0.000 3.988 0.000
1.906 1.961 18.398
Ba Ca Tl Fe O
2 2 2 3 10
direct
0.000 0.000 0.000
0.326 0.300 0.426
0.106 0.091 0.804
0.227 0.192 0.622
0.435 0.384 0.151
0.886 0.825 0.275
0.556 0.551 0.888
0.669 0.638 0.713
0.773 0.740 0.538
0.058 0.552 0.885
0.169 0.637 0.713
0.272 0.738 0.541
0.391 0.505 0.263
0.483 0.495 0.035
0.558 0.052 0.886
0.669 0.138 0.713
0.773 0.239 0.540
0.840 0.831 0.390
0.931 0.051 0.163
```



Crystalline LiCoSnO4 at its relaxed geometry, computed with PBE with a Hubbard U.

Energy relative to the lowest polymorph listed for this composition   4 meV per atom

The structure in POSCAR format:
```
LiCoSnO4
1.0
5.398 -2.965 0.000
5.398 2.965 0.000
-3.569 0.000 10.192
Li Co Sn O
4 4 4 16
direct
0.062 0.561 0.689
0.439 0.938 0.811
0.561 0.062 0.189
0.938 0.439 0.311
0.000 0.000 0.000
0.000 0.000 0.500
0.500 0.500 0.000
0.500 0.500 0.500
0.000 0.500 0.000
0.246 0.754 0.250
0.500 0.000 0.500
0.754 0.246 0.750
0.108 0.141 0.877
0.128 0.648 0.900
0.141 0.108 0.377
0.144 0.656 0.389
0.344 0.856 0.111
0.352 0.872 0.600
0.367 0.396 0.120
0.396 0.367 0.620
0.604 0.633 0.380
0.633 0.604 0.880
0.648 0.128 0.400
0.656 0.144 0.889
0.856 0.344 0.611
0.859 0.892 0.623
0.872 0.352 0.100
0.892 0.859 0.123
```



Crystalline Co3BiC9O9 at its relaxed geometry, computed with PBE with a Hubbard U.

The structure in POSCAR format:
```
Co3BiC9O9
1.0
11.285 0.000 0.000
-5.643 9.773 0.000
0.000 0.000 7.625
Co Bi C O
6 2 18 18
direct
0.258 0.515 0.000
0.258 0.742 0.000
0.485 0.742 0.000
0.515 0.258 0.500
0.742 0.258 0.500
0.742 0.485 0.500
0.333 0.667 0.714
0.667 0.333 0.214
0.111 0.556 0.014
0.187 0.375 0.859
0.187 0.813 0.859
0.219 0.437 0.208
0.219 0.781 0.208
0.375 0.187 0.359
0.437 0.219 0.708
0.444 0.556 0.014
0.444 0.889 0.014
0.556 0.111 0.514
0.556 0.444 0.514
0.563 0.781 0.208
0.625 0.813 0.859
0.781 0.219 0.708
0.781 0.563 0.708
0.813 0.187 0.359
0.813 0.625 0.359
0.889 0.444 0.514
0.009 0.504 0.529
0.137 0.274 0.778
0.137 0.863 0.778
0.192 0.383 0.343
0.192 0.808 0.343
0.274 0.137 0.278
0.383 0.192 0.843
0.496 0.504 0.529
0.496 0.991 0.529
0.504 0.009 0.029
0.504 0.496 0.029
0.617 0.808 0.343
0.726 0.863 0.778
0.808 0.192 0.843
0.808 0.617 0.843
0.863 0.137 0.278
0.863 0.726 0.278
0.991 0.496 0.029
```



Crystalline Li8MnO6 at its relaxed geometry, computed with PBE with a Hubbard U.

Energy relative to the lowest polymorph listed for this composition   47 meV per atom

The structure in POSCAR format:
```
Li8MnO6
1.0
5.540 0.000 0.000
-2.770 4.798 0.000
0.000 0.000 11.032
Li Mn O
16 2 12
direct
0.000 0.308 0.000
0.000 0.384 0.365
0.000 0.616 0.865
0.000 0.692 0.500
0.308 0.000 0.000
0.308 0.308 0.500
0.333 0.667 0.137
0.333 0.667 0.637
0.384 0.000 0.365
0.384 0.384 0.865
0.616 0.000 0.865
0.616 0.616 0.365
0.667 0.333 0.137
0.667 0.333 0.637
0.692 0.000 0.500
0.692 0.692 0.000
0.000 0.000 0.225
0.000 0.000 0.725
0.000 0.000 0.403
0.000 0.000 0.903
0.000 0.309 0.182
0.000 0.691 0.682
0.309 0.000 0.182
0.309 0.309 0.682
0.333 0.667 0.452
0.333 0.667 0.952
0.667 0.333 0.452
0.667 0.333 0.952
0.691 0.000 0.682
0.691 0.691 0.182
```



Crystalline Cr2NiO4 at its relaxed geometry, computed with PBE with a Hubbard U.

Energy relative to the lowest polymorph listed for this composition   8 meV per atom

The structure in POSCAR format:
```
Cr2NiO4
1.0
5.952 0.000 0.000
-2.975 5.170 0.000
-0.011 -3.373 4.951
Cr Ni O
4 2 8
direct
0.000 0.000 0.000
0.000 0.000 0.500
0.000 0.501 0.501
0.499 0.499 0.500
0.376 0.749 0.120
0.628 0.251 0.881
0.218 0.976 0.738
0.234 0.471 0.712
0.237 0.476 0.258
0.241 0.024 0.262
0.756 0.972 0.734
0.761 0.523 0.742
0.762 0.529 0.288
0.784 0.028 0.265
```



ΔE_f (computed, eV/atom): -2.202, -2.274, -2.174, -3.232, -2.171, -2.073, -1.843, -0.742, -2.032, -2.033